Record 1
{"formula": "SrGeO3", "functional": "PBE", "state": "relaxed", "formation_enthalpy_0k_ev_per_atom": -2.742, "spacegroup": "No. 2", "cell": [[8.772, 0.000, 0.000], [2.111, 9.851, 0.000], [0.017, 3.203, 10.847]], "species": ["Sr", "Sr", "Sr", "Sr", "Sr", "Sr", "Sr", "Sr", "Sr", "Sr", "Sr", "Sr", "Ge", "Ge", "Ge", "Ge", "Ge", "Ge", "Ge", "Ge", "Ge", "Ge", "Ge", "Ge", "O", "O", "O", "O", "O", "O", "O", "O", "O", "O", "O", "O", "O", "O", "O", "O", "O", "O", "O", "O", "O", "O", "O", "O", "O", "O", "O", "O", "O", "O", "O", "O", "O", "O", "O", "O"], "frac_coords": [[0.069, 0.149, 0.157], [0.098, 0.150, 0.514], [0.248, 0.498, 0.010], [0.249, 0.502, 0.508], [0.417, 0.850, 0.336], [0.422, 0.842, 0.987], [0.578, 0.158, 0.013], [0.583, 0.150, 0.664], [0.751, 0.498, 0.492], [0.752, 0.502, 0.990], [0.902, 0.850, 0.486], [0.931, 0.851, 0.843], [0.003, 0.495, 0.751], [0.105, 0.791, 0.217], [0.240, 0.204, 0.861], [0.256, 0.795, 0.711], [0.399, 0.204, 0.360], [0.497, 0.506, 0.748], [0.503, 0.494, 0.252], [0.601, 0.796, 0.640], [0.744, 0.205, 0.289], [0.760, 0.796, 0.139], [0.895, 0.209, 0.783], [0.997, 0.505, 0.249], [0.004, 0.586, 0.860], [0.042, 0.415, 0.404], [0.079, 0.897, 0.635], [0.090, 0.109, 0.843], [0.124, 0.626, 0.178], [0.132, 0.763, 0.376], [0.185, 0.368, 0.739], [0.230, 0.897, 0.141], [0.243, 0.761, 0.871], [0.250, 0.240, 0.004], [0.273, 0.102, 0.330], [0.315, 0.629, 0.674], [0.366, 0.238, 0.502], [0.382, 0.368, 0.239], [0.403, 0.894, 0.647], [0.420, 0.097, 0.846], [0.455, 0.587, 0.359], [0.495, 0.416, 0.903], [0.505, 0.584, 0.097], [0.545, 0.413, 0.641], [0.580, 0.903, 0.154], [0.597, 0.106, 0.353], [0.618, 0.632, 0.761], [0.634, 0.762, 0.498], [0.685, 0.371, 0.326], [0.727, 0.898, 0.670], [0.750, 0.760, 0.996], [0.757, 0.239, 0.129], [0.770, 0.103, 0.859], [0.815, 0.632, 0.261], [0.868, 0.237, 0.624], [0.876, 0.374, 0.822], [0.910, 0.891, 0.157], [0.921, 0.103, 0.365], [0.958, 0.585, 0.596], [0.996, 0.414, 0.140]]}

***

Record 2
{"formula": "SrGeO3", "functional": "PBE", "state": "relaxed", "formation_enthalpy_0k_ev_per_atom": -2.594, "spacegroup": "No. 221", "cell": [[3.857, 0.000, 0.000], [0.000, 3.857, 0.000], [0.000, 0.000, 3.857]], "species": ["Sr", "Ge", "O", "O", "O"], "frac_coords": [[0.000, 0.000, 0.000], [0.500, 0.500, 0.500], [0.000, 0.500, 0.500], [0.500, 0.000, 0.500], [0.500, 0.500, 0.000]]}

***

Record 3
{"formula": "Sr3Tm2Ge3O12", "functional": "PBE", "state": "relaxed", "formation_enthalpy_0k_ev_per_atom": -3.112, "spacegroup": "No. 230", "cell": [[-6.582, 6.582, 6.582], [6.582, -6.582, 6.582], [6.582, 6.582, -6.582]], "species": ["Sr", "Sr", "Sr", "Sr", "Sr", "Sr", "Sr", "Sr", "Sr", "Sr", "Sr", "Sr", "Tm", "Tm", "Tm", "Tm", "Tm", "Tm", "Tm", "Tm", "Ge", "Ge", "Ge", "Ge", "Ge", "Ge", "Ge", "Ge", "Ge", "Ge", "Ge", "Ge", "O", "O", "O", "O", "O", "O", "O", "O", "O", "O", "O", "O", "O", "O", "O", "O", "O", "O", "O", "O", "O", "O", "O", "O", "O", "O", "O", "O", "O", "O", "O", "O", "O", "O", "O", "O", "O", "O", "O", "O", "O", "O", "O", "O", "O", "O", "O", "O"], "frac_coords": [[0.125, 0.250, 0.375], [0.125, 0.375, 0.750], [0.250, 0.375, 0.125], [0.250, 0.875, 0.625], [0.375, 0.125, 0.250], [0.375, 0.750, 0.125], [0.625, 0.250, 0.875], [0.625, 0.875, 0.750], [0.750, 0.125, 0.375], [0.750, 0.625, 0.875], [0.875, 0.625, 0.250], [0.875, 0.750, 0.625], [0.000, 0.000, 0.000], [0.000, 0.000, 0.500], [0.000, 0.500, 0.000], [0.000, 0.500, 0.500], [0.500, 0.000, 0.000], [0.500, 0.000, 0.500], [0.500, 0.500, 0.000], [0.500, 0.500, 0.500], [0.125, 0.750, 0.875], [0.125, 0.875, 0.250], [0.250, 0.125, 0.875], [0.250, 0.625, 0.375], [0.375, 0.250, 0.625], [0.375, 0.625, 0.750], [0.625, 0.375, 0.250], [0.625, 0.750, 0.375], [0.750, 0.375, 0.625], [0.750, 0.875, 0.125], [0.875, 0.125, 0.750], [0.875, 0.250, 0.125], [0.011, 0.207, 0.119], [0.011, 0.304, 0.892], [0.088, 0.707, 0.696], [0.088, 0.881, 0.392], [0.108, 0.619, 0.412], [0.108, 0.989, 0.696], [0.119, 0.011, 0.207], [0.119, 0.608, 0.912], [0.196, 0.207, 0.588], [0.196, 0.489, 0.608], [0.207, 0.119, 0.011], [0.207, 0.588, 0.196], [0.293, 0.304, 0.912], [0.293, 0.489, 0.381], [0.304, 0.892, 0.011], [0.304, 0.912, 0.293], [0.381, 0.293, 0.489], [0.381, 0.588, 0.892], [0.392, 0.088, 0.881], [0.392, 0.804, 0.511], [0.412, 0.108, 0.619], [0.412, 0.804, 0.793], [0.489, 0.381, 0.293], [0.489, 0.608, 0.196], [0.511, 0.392, 0.804], [0.511, 0.619, 0.707], [0.588, 0.196, 0.207], [0.588, 0.892, 0.381], [0.608, 0.196, 0.489], [0.608, 0.912, 0.119], [0.619, 0.412, 0.108], [0.619, 0.707, 0.511], [0.696, 0.088, 0.707], [0.696, 0.108, 0.989], [0.707, 0.511, 0.619], [0.707, 0.696, 0.088], [0.793, 0.412, 0.804], [0.793, 0.881, 0.989], [0.804, 0.511, 0.392], [0.804, 0.793, 0.412], [0.881, 0.392, 0.088], [0.881, 0.989, 0.793], [0.892, 0.011, 0.304], [0.892, 0.381, 0.588], [0.912, 0.119, 0.608], [0.912, 0.293, 0.304], [0.989, 0.696, 0.108], [0.989, 0.793, 0.881]]}

***

Record 4
{"formula": "Sr3Y2Ge3O12", "functional": "PBE", "state": "relaxed", "formation_enthalpy_0k_ev_per_atom": -3.078, "spacegroup": "No. 230", "cell": [[-6.630, 6.630, 6.630], [6.630, -6.630, 6.630], [6.630, 6.630, -6.630]], "species": ["Sr", "Sr", "Sr", "Sr", "Sr", "Sr", "Sr", "Sr", "Sr", "Sr", "Sr", "Sr", "Y", "Y", "Y", "Y", "Y", "Y", "Y", "Y", "Ge", "Ge", "Ge", "Ge", "Ge", "Ge", "Ge", "Ge", "Ge", "Ge", "Ge", "Ge", "O", "O", "O", "O", "O", "O", "O", "O", "O", "O", "O", "O", "O", "O", "O", "O", "O", "O", "O", "O", "O", "O", "O", "O", "O", "O", "O", "O", "O", "O", "O", "O", "O", "O", "O", "O", "O", "O", "O", "O", "O", "O", "O", "O", "O", "O", "O", "O"], "frac_coords": [[0.125, 0.250, 0.375], [0.125, 0.375, 0.750], [0.250, 0.375, 0.125], [0.250, 0.875, 0.625], [0.375, 0.125, 0.250], [0.375, 0.750, 0.125], [0.625, 0.250, 0.875], [0.625, 0.875, 0.750], [0.750, 0.125, 0.375], [0.750, 0.625, 0.875], [0.875, 0.625, 0.250], [0.875, 0.750, 0.625], [0.000, 0.000, 0.000], [0.000, 0.000, 0.500], [0.000, 0.500, 0.000], [0.000, 0.500, 0.500], [0.500, 0.000, 0.000], [0.500, 0.000, 0.500], [0.500, 0.500, 0.000], [0.500, 0.500, 0.500], [0.125, 0.750, 0.875], [0.125, 0.875, 0.250], [0.250, 0.125, 0.875], [0.250, 0.625, 0.375], [0.375, 0.250, 0.625], [0.375, 0.625, 0.750], [0.625, 0.375, 0.250], [0.625, 0.750, 0.375], [0.750, 0.375, 0.625], [0.750, 0.875, 0.125], [0.875, 0.125, 0.750], [0.875, 0.250, 0.125], [0.012, 0.210, 0.120], [0.012, 0.302, 0.892], [0.090, 0.710, 0.698], [0.090, 0.880, 0.392], [0.108, 0.620, 0.410], [0.108, 0.988, 0.698], [0.120, 0.012, 0.210], [0.120, 0.608, 0.910], [0.198, 0.210, 0.590], [0.198, 0.488, 0.608], [0.210, 0.120, 0.012], [0.210, 0.590, 0.198], [0.290, 0.302, 0.910], [0.290, 0.488, 0.380], [0.302, 0.892, 0.012], [0.302, 0.910, 0.290], [0.380, 0.290, 0.488], [0.380, 0.590, 0.892], [0.392, 0.090, 0.880], [0.392, 0.802, 0.512], [0.410, 0.108, 0.620], [0.410, 0.802, 0.790], [0.488, 0.380, 0.290], [0.488, 0.608, 0.198], [0.512, 0.392, 0.802], [0.512, 0.620, 0.710], [0.590, 0.198, 0.210], [0.590, 0.892, 0.380], [0.608, 0.198, 0.488], [0.608, 0.910, 0.120], [0.620, 0.410, 0.108], [0.620, 0.710, 0.512], [0.698, 0.090, 0.710], [0.698, 0.108, 0.988], [0.710, 0.512, 0.620], [0.710, 0.698, 0.090], [0.790, 0.410, 0.802], [0.790, 0.880, 0.988], [0.802, 0.512, 0.392], [0.802, 0.790, 0.410], [0.880, 0.392, 0.090], [0.880, 0.988, 0.790], [0.892, 0.012, 0.302], [0.892, 0.380, 0.590], [0.910, 0.120, 0.608], [0.910, 0.290, 0.302], [0.988, 0.698, 0.108], [0.988, 0.790, 0.880]]}

***

Record 5
{"formula": "Sr2ZrGeO6", "functional": "PBE", "state": "relaxed", "formation_enthalpy_0k_ev_per_atom": -3.160, "spacegroup": "No. 225", "cell": [[0.000, 4.013, 4.013], [4.013, 0.000, 4.013], [4.013, 4.013, 0.000]], "species": ["Sr", "Sr", "Zr", "Ge", "O", "O", "O", "O", "O", "O"], "frac_coords": [[0.250, 0.250, 0.250], [0.750, 0.750, 0.750], [0.000, 0.000, 0.000], [0.500, 0.500, 0.500], [0.261, 0.261, 0.739], [0.261, 0.739, 0.261], [0.261, 0.739, 0.739], [0.739, 0.261, 0.261], [0.739, 0.261, 0.739], [0.739, 0.739, 0.261]]}

***

Record 6
{"formula": "Ta2Ge2O7", "functional": "PBE", "state": "relaxed", "formation_enthalpy_0k_ev_per_atom": -2.591, "spacegroup": "No. 36", "cell": [[1.949, -13.529, 0.000], [1.949, 13.529, 0.000], [0.000, 0.000, 5.792]], "species": ["Ta", "Ta", "Ta", "Ta", "Ge", "Ge", "Ge", "Ge", "O", "O", "O", "O", "O", "O", "O", "O", "O", "O", "O", "O", "O", "O"], "frac_coords": [[0.053, 0.947, 0.500], [0.159, 0.841, 0.962], [0.841, 0.159, 0.462], [0.947, 0.053, 0.000], [0.271, 0.729, 0.997], [0.434, 0.566, 0.562], [0.566, 0.434, 0.062], [0.729, 0.271, 0.497], [0.004, 0.996, 0.723], [0.096, 0.904, 0.175], [0.109, 0.891, 0.690], [0.210, 0.790, 0.194], [0.215, 0.785, 0.750], [0.356, 0.644, 0.483], [0.446, 0.554, 0.913], [0.554, 0.446, 0.413], [0.644, 0.356, 0.983], [0.785, 0.215, 0.250], [0.790, 0.210, 0.694], [0.891, 0.109, 0.190], [0.904, 0.096, 0.675], [0.996, 0.004, 0.223]]}